First-principles (PBE) data for a geometry-optimized Mg6MnCr structure, as listed in the Materials Project database.

Cell and atoms, written as CIF:
```
data_Mg6MnCr
_chemical_formula_sum 'Mg12 Mn2 Cr2'
_space_group_name_H-M_alt 'P 1'
_space_group_IT_number 1
_cell_length_a 4.955
_cell_length_b 6.149
_cell_length_c 10.709
_cell_angle_alpha 90.00
_cell_angle_beta 90.00
_cell_angle_gamma 90.00
loop_
_space_group_symop_operation_xyz
'x,y,z'
loop_
_atom_site_label
_atom_site_fract_x
_atom_site_fract_y
_atom_site_fract_z
Mg1 0.500 0.000 0.167
Mg2 0.000 0.742 0.087
Mg3 0.500 0.742 0.413
Mg4 0.500 0.258 0.413
Mn1 0.000 0.500 0.333
Mn2 0.000 0.000 0.833
Mg5 0.000 0.758 0.587
Cr1 0.500 0.000 0.667
Cr2 0.500 0.500 0.167
Mg6 0.000 0.242 0.587
Mg7 0.000 0.258 0.087
Mg8 0.500 0.242 0.913
Mg9 0.000 0.000 0.333
Mg10 0.500 0.500 0.667
Mg11 0.000 0.500 0.833
Mg12 0.500 0.758 0.913
```

energy of formation: 0.248 eV/atom
total energy: -3.304 eV/atom